First-principles (GGA-PBE) data for a relaxed structure of K2EuTa5O15, as listed in the Materials Project.

Cell and atoms, written as POSCAR:
```
K2EuTa5O15
1.0
12.7093 0.0000 0.0000
0.0000 12.7093 0.0000
0.0000 0.0000 3.9540
K Eu Ta O
4 2 10 30
Direct
0.1698 0.3302 0.0000 K
0.3302 0.8302 0.0000 K
0.6698 0.1698 0.0000 K
0.8302 0.6698 0.0000 K
0.0000 0.0000 0.0000 Eu
0.5000 0.5000 0.0000 Eu
0.0000 0.5000 0.5000 Ta
0.0762 0.7869 0.5000 Ta
0.2131 0.0762 0.5000 Ta
0.2869 0.5762 0.5000 Ta
0.4238 0.2869 0.5000 Ta
0.5000 0.0000 0.5000 Ta
0.5762 0.7131 0.5000 Ta
0.7131 0.4238 0.5000 Ta
0.7869 0.9238 0.5000 Ta
0.9238 0.2131 0.5000 Ta
0.0000 0.5000 0.0000 O
0.0014 0.3429 0.5000 O
0.0620 0.1335 0.5000 O
0.0764 0.8062 0.0000 O
0.1335 0.9380 0.5000 O
0.1571 0.4986 0.5000 O
0.1938 0.0764 0.0000 O
0.2153 0.7153 0.5000 O
0.2847 0.2153 0.5000 O
0.3062 0.5764 0.0000 O
0.3429 0.9986 0.5000 O
0.3665 0.4380 0.5000 O
0.4236 0.3062 0.0000 O
0.4380 0.6335 0.5000 O
0.4986 0.8429 0.5000 O
0.5000 0.0000 0.0000 O
0.5014 0.1571 0.5000 O
0.5620 0.3665 0.5000 O
0.5764 0.6938 0.0000 O
0.6335 0.5620 0.5000 O
0.6571 0.0014 0.5000 O
0.6938 0.4236 0.0000 O
0.7153 0.7847 0.5000 O
0.7847 0.2847 0.5000 O
0.8062 0.9236 0.0000 O
0.8429 0.5014 0.5000 O
0.8665 0.0620 0.5000 O
0.9236 0.1938 0.0000 O
0.9380 0.8665 0.5000 O
0.9986 0.6571 0.5000 O
```

Properties
The space group is P4/mbm, No. 127. The formation energy from the elements is -3.27 eV per atom. The calculation puts the raw total energy at -9.17 eV per atom.